# MgMnCo3O8 | the Materials Project | PBE with a Hubbard U | relaxed
# MP2020-corrected energy, eV per atom: -7.114
# M_tot, Bohr magnetons per cell: 4.0
# Energy above the lowest structure with this stoichiometry, meV per atom: 0.0
# Volume, Å³/cell: 137.2
data_MgMnCo3O8
_space_group_name_H-M_alt 'P 1'
_space_group_IT_number 1
_space_group_name_Hall 'P 1'
_cell_length_a 5.648
_cell_length_b 5.657
_cell_length_c 5.686
_cell_angle_alpha 103.97
_cell_angle_beta 104.68
_cell_angle_gamma 119.74
loop_
_atom_site_label
_atom_site_type_symbol
_atom_site_fract_x
_atom_site_fract_y
_atom_site_fract_z
_atom_site_occupancy
Mg1 Mg 0.000 0.000 0.000 1
Mn1 Mn 0.260 0.758 0.500 1
Co1 Co 0.271 0.266 0.525 1
Co2 Co 0.743 0.745 0.476 1
Co3 Co 0.751 0.250 0.500 1
O1 O 0.012 0.687 0.695 1
O2 O 0.013 0.174 0.703 1
O3 O 0.475 0.310 0.298 1
O4 O 0.490 0.831 0.296 1
O5 O 0.535 0.189 0.705 1
O6 O 0.541 0.701 0.707 1
O7 O 0.997 0.318 0.305 1
O8 O 0.998 0.835 0.293 1

=====

# MgMn3CoO8 | the Materials Project | PBE with a Hubbard U | relaxed
# MP2020-corrected energy, eV per atom: -7.742
# M_tot, Bohr magnetons per cell: 24.0
# Energy above the lowest structure with this stoichiometry, meV per atom: 10.8
# Volume, Å³/cell: 290.7
data_MgMn3CoO8
_space_group_name_H-M_alt 'C 1 2/m 1'
_space_group_IT_number 12
_space_group_name_Hall '-C 2y'
_cell_length_a 10.100
_cell_length_b 5.910
_cell_length_c 5.973
_cell_angle_alpha 90.00
_cell_angle_beta 125.38
_cell_angle_gamma 90.00
loop_
_atom_site_label
_atom_site_type_symbol
_atom_site_fract_x
_atom_site_fract_y
_atom_site_fract_z
_atom_site_occupancy
Mg1 Mg 0.000 0.000 0.000 1
Mn1 Mn 0.000 0.500 0.000 1
Mn2 Mn 0.250 0.250 0.500 1
Co1 Co 0.000 0.500 0.500 1
O1 O 0.017 0.266 0.243 1
O2 O 0.237 0.500 0.271 1
O3 O 0.244 0.500 0.705 1

=====

# Mg6MnCoO8 | the Materials Project | PBE with a Hubbard U | relaxed
# MP2020-corrected energy, eV per atom: -6.722
# M_tot, Bohr magnetons per cell: 7.7
# Energy above the lowest structure with this stoichiometry, meV per atom: 26.2
# Volume, Å³/cell: 158.1
data_Mg6MnCoO8
_space_group_name_H-M_alt 'P 4/m m m'
_space_group_IT_number 123
_space_group_name_Hall '-P 4 2'
_cell_length_a 4.277
_cell_length_b 4.277
_cell_length_c 8.642
_cell_angle_alpha 90.00
_cell_angle_beta 90.00
_cell_angle_gamma 90.00
loop_
_atom_site_label
_atom_site_type_symbol
_atom_site_fract_x
_atom_site_fract_y
_atom_site_fract_z
_atom_site_occupancy
Mg1 Mg 0.000 0.000 0.000 1
Mg2 Mg 0.000 0.500 0.248 1
Mg3 Mg 0.500 0.500 0.000 1
Mn1 Mn 0.000 0.000 0.500 1
Co1 Co 0.500 0.500 0.500 1
O1 O 0.000 0.000 0.243 1
O2 O 0.000 0.500 0.000 1
O3 O 0.000 0.500 0.500 1
O4 O 0.500 0.500 0.246 1

=====

# MgMnCo3O8 | the Materials Project | PBE with a Hubbard U | relaxed
# MP2020-corrected energy, eV per atom: -7.067
# M_tot, Bohr magnetons per cell: 8.1
# Energy above the lowest structure with this stoichiometry, meV per atom: 47.2
# Volume, Å³/cell: 141.6
data_MgMnCo3O8
_space_group_name_H-M_alt 'P -1'
_space_group_IT_number 2
_space_group_name_Hall '-P 1'
_cell_length_a 5.670
_cell_length_b 5.744
_cell_length_c 5.945
_cell_angle_alpha 61.34
_cell_angle_beta 89.59
_cell_angle_gamma 60.79
loop_
_atom_site_label
_atom_site_type_symbol
_atom_site_fract_x
_atom_site_fract_y
_atom_site_fract_z
_atom_site_occupancy
Mg1 Mg 0.000 0.000 0.000 1
Mn1 Mn 0.500 0.500 0.500 1
Co1 Co 0.000 0.000 0.500 1
Co2 Co 0.000 0.500 0.500 1
Co3 Co 0.500 0.000 0.500 1
O1 O 0.215 0.046 0.706 1
O2 O 0.221 0.543 0.692 1
O3 O 0.252 0.491 0.288 1
O4 O 0.263 0.959 0.291 1

=====

# MgMnCo3O8 | the Materials Project | PBE with a Hubbard U | relaxed
# MP2020-corrected energy, eV per atom: -7.032
# M_tot, Bohr magnetons per cell: 10.0
# Energy above the lowest structure with this stoichiometry, meV per atom: 82.0
# Volume, Å³/cell: 144.5
data_MgMnCo3O8
_space_group_name_H-M_alt 'P 1'
_space_group_IT_number 1
_space_group_name_Hall 'P 1'
_cell_length_a 5.798
_cell_length_b 5.844
_cell_length_c 5.864
_cell_angle_alpha 118.58
_cell_angle_beta 92.73
_cell_angle_gamma 117.89
loop_
_atom_site_label
_atom_site_type_symbol
_atom_site_fract_x
_atom_site_fract_y
_atom_site_fract_z
_atom_site_occupancy
Mg1 Mg 0.000 0.000 0.000 1
Mn1 Mn 0.874 0.262 0.630 1
Co1 Co 0.373 0.762 0.626 1
Co2 Co 0.383 0.262 0.632 1
Co3 Co 0.387 0.762 0.139 1
O1 O 0.130 0.280 0.417 1
O2 O 0.130 0.722 0.866 1
O3 O 0.147 0.279 0.863 1
O4 O 0.177 0.825 0.415 1
O5 O 0.588 0.717 0.854 1
O6 O 0.608 0.248 0.410 1
O7 O 0.626 0.247 0.836 1
O8 O 0.636 0.813 0.404 1

=====

# MgMnCo3O8 | the Materials Project | PBE with a Hubbard U | relaxed
# MP2020-corrected energy, eV per atom: -7.058
# M_tot, Bohr magnetons per cell: 8.0
# Energy above the lowest structure with this stoichiometry, meV per atom: 56.0
# Volume, Å³/cell: 138.7
data_MgMnCo3O8
_space_group_name_H-M_alt 'P -1'
_space_group_IT_number 2
_space_group_name_Hall '-P 1'
_cell_length_a 5.754
_cell_length_b 5.777
_cell_length_c 5.818
_cell_angle_alpha 60.29
_cell_angle_beta 60.54
_cell_angle_gamma 89.76
loop_
_atom_site_label
_atom_site_type_symbol
_atom_site_fract_x
_atom_site_fract_y
_atom_site_fract_z
_atom_site_occupancy
Mg1 Mg 0.000 0.000 0.000 1
Mn1 Mn 0.000 0.500 0.500 1
Co1 Co 0.000 0.000 0.500 1
Co2 Co 0.000 0.500 0.000 1
Co3 Co 0.500 0.500 0.000 1
O1 O 0.199 0.735 0.538 1
O2 O 0.215 0.244 0.045 1
O3 O 0.219 0.246 0.501 1
O4 O 0.226 0.708 0.037 1

=====

# MgMn2CoO6 | the Materials Project | PBE with a Hubbard U | relaxed
# MP2020-corrected energy, eV per atom: -7.562
# M_tot, Bohr magnetons per cell: 14.0
# Energy above the lowest structure with this stoichiometry, meV per atom: 0.0
# Volume, Å³/cell: 209.5
data_MgMn2CoO6
_space_group_name_H-M_alt 'C 1 m 1'
_space_group_IT_number 8
_space_group_name_Hall 'C -2y'
_cell_length_a 12.793
_cell_length_b 2.920
_cell_length_c 5.734
_cell_angle_alpha 90.00
_cell_angle_beta 102.06
_cell_angle_gamma 90.00
loop_
_atom_site_label
_atom_site_type_symbol
_atom_site_fract_x
_atom_site_fract_y
_atom_site_fract_z
_atom_site_occupancy
Mg1 Mg 0.000 0.000 0.000 1
Mn1 Mn 0.172 0.500 0.774 1
Mn2 Mn 0.319 0.000 0.184 1
Co1 Co 0.485 0.500 0.502 1
O1 O 0.137 0.000 0.551 1
O2 O 0.169 0.000 0.020 1
O3 O 0.329 0.500 0.409 1
O4 O 0.335 0.500 0.969 1
O5 O 0.476 0.000 0.266 1
O6 O 0.494 0.000 0.735 1

=====

# MgMnCo3O8 | the Materials Project | PBE with a Hubbard U | relaxed
# MP2020-corrected energy, eV per atom: -6.943
# M_tot, Bohr magnetons per cell: 8.0
# Energy above the lowest structure with this stoichiometry, meV per atom: 171.3
# Volume, Å³/cell: 145.9
data_MgMnCo3O8
_space_group_name_H-M_alt 'P 1'
_space_group_IT_number 1
_space_group_name_Hall 'P 1'
_cell_length_a 2.873
_cell_length_b 2.969
_cell_length_c 19.557
_cell_angle_alpha 92.35
_cell_angle_beta 91.96
_cell_angle_gamma 118.71
loop_
_atom_site_label
_atom_site_type_symbol
_atom_site_fract_x
_atom_site_fract_y
_atom_site_fract_z
_atom_site_occupancy
Mg1 Mg 0.000 0.000 0.000 1
Mn1 Mn 0.856 0.778 0.860 1
Co1 Co 0.347 0.102 0.619 1
Co2 Co 0.366 0.660 0.130 1
Co3 Co 0.844 0.351 0.371 1
O1 O 0.037 0.460 0.665 1
O2 O 0.052 0.011 0.172 1
O3 O 0.199 0.038 0.417 1
O4 O 0.291 0.617 0.932 1
O5 O 0.490 0.070 0.814 1
O6 O 0.490 0.664 0.325 1
O7 O 0.657 0.744 0.573 1
O8 O 0.698 0.370 0.057 1